# Mg2Rh

Crystalline Mg2Rh at its relaxed geometry (meta-GGA r2SCAN, the Materials Project database).

Geometry as POSCAR:
```
Mg2Rh
1.0
-1.586 1.586 5.054
1.586 -1.586 5.054
1.586 1.586 -5.054
Mg Rh
2 1
direct
0.143 0.143 0.000
0.857 0.857 0.000
0.500 0.500 0.000
```

Computed properties:
As for the symmetry: I4/mmm, No. 139.

=====

# Mg5Rh2

Crystalline Mg5Rh2 at its relaxed geometry (meta-GGA r2SCAN, the Materials Project database).

Geometry as POSCAR:
```
Mg5Rh2
1.0
8.515 0.000 0.000
-4.257 7.374 0.000
0.000 0.000 8.038
Mg Rh
20 8
direct
0.000 0.000 0.000
0.000 0.000 0.500
0.081 0.540 0.250
0.192 0.383 0.564
0.192 0.383 0.936
0.192 0.808 0.564
0.192 0.808 0.936
0.383 0.192 0.064
0.383 0.192 0.436
0.460 0.540 0.250
0.460 0.919 0.250
0.540 0.081 0.750
0.540 0.460 0.750
0.617 0.808 0.564
0.617 0.808 0.936
0.808 0.192 0.064
0.808 0.192 0.436
0.808 0.617 0.064
0.808 0.617 0.436
0.919 0.460 0.750
0.121 0.242 0.250
0.121 0.879 0.250
0.242 0.121 0.750
0.333 0.667 0.750
0.667 0.333 0.250
0.758 0.879 0.250
0.879 0.121 0.750
0.879 0.758 0.750
```

Computed properties:
As for the symmetry: P6_3/mmc, No. 194.

=====

# Tb4MgRh

Crystalline Tb4MgRh at its relaxed geometry (meta-GGA r2SCAN, the Materials Project database).

Geometry as POSCAR:
```
Tb4MgRh
1.0
0.000 6.860 6.860
6.860 0.000 6.860
6.860 6.860 0.000
Tb Mg Rh
16 4 4
direct
0.063 0.063 0.437
0.063 0.437 0.063
0.063 0.437 0.437
0.186 0.186 0.814
0.186 0.814 0.186
0.186 0.814 0.814
0.211 0.596 0.596
0.437 0.063 0.063
0.437 0.063 0.437
0.437 0.437 0.063
0.596 0.211 0.596
0.596 0.596 0.211
0.596 0.596 0.596
0.814 0.186 0.186
0.814 0.186 0.814
0.814 0.814 0.186
0.512 0.829 0.829
0.829 0.512 0.829
0.829 0.829 0.512
0.829 0.829 0.829
0.392 0.392 0.392
0.392 0.392 0.824
0.392 0.824 0.392
0.824 0.392 0.392
```

Computed properties:
As for the symmetry: F-43m, No. 216.

=====

# ThMgRh2

Crystalline ThMgRh2 at its relaxed geometry (meta-GGA r2SCAN, the Materials Project database).

Geometry as POSCAR:
```
ThMgRh2
1.0
0.000 3.373 3.373
3.373 0.000 3.373
3.373 3.373 0.000
Th Mg Rh
1 1 2
direct
0.000 0.000 0.000
0.500 0.500 0.500
0.250 0.250 0.250
0.750 0.750 0.750
```

Computed properties:
As for the symmetry: Fm-3m, No. 225.

=====

# TmMgRh2

Crystalline TmMgRh2 at its relaxed geometry (meta-GGA r2SCAN, the Materials Project database).

Geometry as POSCAR:
```
TmMgRh2
1.0
0.000 3.229 3.229
3.229 0.000 3.229
3.229 3.229 0.000
Tm Mg Rh
1 1 2
direct
0.000 0.000 0.000
0.500 0.500 0.500
0.250 0.250 0.250
0.750 0.750 0.750
```

Computed properties:
As for the symmetry: Fm-3m, No. 225.

=====

# MgZnRh2

Crystalline MgZnRh2 at its relaxed geometry (meta-GGA r2SCAN, the Materials Project database).

Geometry as POSCAR:
```
MgZnRh2
1.0
0.000 3.035 3.035
3.035 0.000 3.035
3.035 3.035 0.000
Mg Zn Rh
1 1 2
direct
0.000 0.000 0.000
0.500 0.500 0.500
0.250 0.250 0.250
0.750 0.750 0.750
```

Computed properties:
As for the symmetry: Fm-3m, No. 225.

=====

| no. | E (eV/atom) | ρ (Mg/m³) | energy of formation (eV per atom) |
| --- | --- | --- | --- |
| 1 | -11.251 | 4.948 | -0.426 |
| 2 | -10.239 | 4.308 | -0.365 |
| 3 | -25.964 | 7.849 | -0.429 |
| 4 | -32.191 | 9.995 | -0.712 |
| 5 | -22.697 | 9.844 | -0.806 |
| 6 | -15.781 | 8.778 | -0.443 |